A geometry-optimized CoNF3 structure. Source: Materials Project, functional GGA+U.

Output
DFT formation energy = -0.3909 eV/atom
Space group = Pm-3m (221)
Electronic total energy = -20.1 eV/cell

Lattice parameters (Å, degrees): 3.7678 3.7678 3.7678 90.00 90.00 90.00
Last column: nearest neighbours and their distance in Å.
Fractional positions:
F  0.0000  0.5000  0.0000  2 Co 1.88
N  0.5000  0.5000  0.5000  12 F 2.66
Co  0.0000  0.0000  0.0000  6 F 1.88
F  0.5000  0.0000  0.0000  2 Co 1.88
F  0.0000  0.0000  0.5000  2 Co 1.88


A geometry-optimized CaLaMn2O6 structure. Source: Materials Project, functional GGA+U.

Output
DFT formation energy = -2.7750 eV/atom
Relative energy among the computed polymorphs = 0 meV/atom
Space group = Pmn2_1 (31)
Electronic total energy = -150.5 eV/cell

Lattice parameters (Å, degrees): 5.5289 5.4791 7.7007 90.00 90.00 90.04
Last column: nearest neighbours and their distance in Å.
Fractional positions:
O  0.0328  0.7413  0.2861  2 Mn 1.98-1.99
Mn  0.2499  0.0232  0.2494  6 O 1.97-2.00
O  0.4630  0.3092  0.7909  2 Mn 1.98-2.00
Mn  0.7502  0.5232  0.7494  6 O 1.97-2.00
O  0.9673  0.2412  0.7860  2 Mn 1.98-1.99
O  0.2316  0.0915  0.5000  2 Mn 1.97
La  0.2818  0.5297  0.5000  6 O 2.42-2.63
O  0.7352  0.4442  0.5000  2 Mn 1.97
O  0.2647  0.9441  0.0000  2 Mn 1.97
O  0.9674  0.2412  0.2140  2 Mn 1.98-1.99
Ca  0.2082  0.5153  0.0000  6 O 2.37-2.60
Ca  0.7916  0.0154  0.5000  6 O 2.37-2.60
O  0.4630  0.3092  0.2091  2 Mn 1.98-2.00
Mn  0.2499  0.0232  0.7506  6 O 1.97-2.00
Mn  0.7502  0.5232  0.2506  6 O 1.97-2.00
O  0.0328  0.7413  0.7139  2 Mn 1.98-1.99
O  0.5368  0.8093  0.7092  2 Mn 1.99-2.00
La  0.7183  0.0295  0.0000  6 O 2.42-2.63
O  0.7685  0.5914  0.0000  2 Mn 1.97
O  0.5368  0.8094  0.2908  2 Mn 1.99-2.00


A geometry-optimized YReW2O8 structure. Source: Materials Project, functional GGA+U.

Output
DFT formation energy = -2.3204 eV/atom
Relative energy among the computed polymorphs = 0 meV/atom
Space group = P2/c (13)
Electronic total energy = -195.8 eV/cell

Lattice parameters (Å, degrees): 5.8174 5.4294 10.9662 62.07 90.00 90.00
Last column: nearest neighbours and their distance in Å.
Fractional positions:
Re  0.3414  0.5000  0.7500  6 O 1.96-2.06
O  0.8851  0.6859  0.8973  2 W 2.04-2.08, 1 Y 2.14
O  0.3542  0.2978  0.6421  1 Re 1.96, 1 W 2.06
O  0.6458  0.7022  0.3579  1 Re 1.96, 1 W 2.06
O  0.8851  0.3141  0.6027  2 W 2.04-2.08, 1 Y 2.14
W  0.1523  0.2550  0.4992  6 O 2.04-2.24
O  0.1115  0.2082  0.8811  1 Re 2.06, 2 W 2.10-2.24
O  0.6458  0.2978  0.1421  1 Re 1.96, 1 W 2.06
O  0.3542  0.7022  0.8579  1 Re 1.96, 1 W 2.06
Y  0.6636  0.0000  0.7500  6 O 2.14-2.34
O  0.4085  0.7562  0.1302  1 Re 2.02, 1 W 2.08
O  0.4085  0.2438  0.3698  1 Re 2.02, 1 W 2.08
W  0.1523  0.7450  0.0008  6 O 2.04-2.24
O  0.5915  0.2438  0.8698  1 Re 2.02, 1 W 2.08
W  0.8477  0.7450  0.5008  6 O 2.04-2.24
Re  0.6586  0.5000  0.2500  6 O 1.96-2.06
O  0.8885  0.7918  0.1189  1 Re 2.06, 2 W 2.10-2.24
O  0.1149  0.6859  0.3973  2 W 2.04-2.08, 1 Y 2.14
O  0.8885  0.2082  0.3811  1 Re 2.06, 2 W 2.10-2.24
O  0.5915  0.7562  0.6302  1 Re 2.02, 1 W 2.08
O  0.1115  0.7918  0.6189  1 Re 2.06, 2 W 2.10-2.24
W  0.8477  0.2550  0.9992  6 O 2.04-2.24
O  0.1149  0.3141  0.1027  2 W 2.04-2.08, 1 Y 2.14
Y  0.3364  0.0000  0.2500  6 O 2.14-2.34


A geometry-optimized Li2MnF4 structure. Source: Materials Project, functional GGA+U.

Output
DFT formation energy = -3.0306 eV/atom
Relative energy among the computed polymorphs = 27 meV/atom
Space group = Cmcm (63)
Electronic total energy = -76.7 eV/cell

Lattice parameters (Å, degrees): 5.0528 5.0528 9.9017 90.00 90.00 145.74
Last column: nearest neighbours and their distance in Å.
Fractional positions:
Li  0.6257  0.3743  0.4389  6 F 2.00-2.17
Li  0.3743  0.6257  0.9389  6 F 2.00-2.17
F  0.0000  0.0000  0.5000  4 Li 2.01
F  0.0000  0.0000  0.0000  4 Li 2.01
Mn  0.1180  0.8820  0.7500  6 F 2.14-2.22
F  0.4584  0.5416  0.7500  2 Li 2.04, 2 Mn 2.14
F  0.2790  0.7210  0.1181  3 Li 2.00-2.17, 2 Mn 2.22
F  0.5416  0.4584  0.2500  2 Li 2.04, 2 Mn 2.14
F  0.2790  0.7210  0.3819  3 Li 2.00-2.17, 2 Mn 2.22
F  0.7210  0.2790  0.6181  3 Li 2.00-2.17, 2 Mn 2.22
Mn  0.8820  0.1180  0.2500  6 F 2.14-2.22
Li  0.6257  0.3743  0.0611  6 F 2.00-2.17
Li  0.3743  0.6257  0.5611  6 F 2.00-2.17
F  0.7210  0.2790  0.8819  3 Li 2.00-2.17, 2 Mn 2.22


A geometry-optimized Li4Mn3Nb2Fe3O16 structure. Source: Materials Project, functional GGA+U.

Output
DFT formation energy = -2.2705 eV/atom
Space group = Cm (8)
Electronic total energy = -200.7 eV/cell

Lattice parameters (Å, degrees): 6.0410 6.0410 9.8200 88.06 88.06 59.01
Last column: nearest neighbours and their distance in Å.
Fractional positions:
Nb  0.3213  0.3213  0.0061  5 O 1.96-2.04
Li  0.0018  0.0018  0.5109  4 O 1.83-2.01
O  0.4782  0.4782  0.1622  2 Mn 1.99, 1 Li 2.02
Mn  0.1702  0.6616  0.2857  4 O 1.94-2.06
O  0.3430  0.8457  0.4122  1 Nb 1.95, 1 Li 2.00, 1 Fe 2.09
O  0.9953  0.9953  0.6978  1 Li 1.83, 1 Mn 1.93, 2 Fe 1.99
Li  0.9959  0.9959  0.0101  4 O 1.84-2.03
O  0.6683  0.6683  0.8889  1 Mn 1.93, 2 Fe 2.01, 1 Li 2.04
Fe  0.3407  0.8309  0.7822  6 O 1.99-2.13
Mn  0.8297  0.8297  0.7886  4 O 1.93-2.12
Nb  0.6681  0.6681  0.5083  6 O 1.95-2.12
O  0.4729  0.0316  0.1502  1 Li 1.99, 1 Fe 2.01, 1 Nb 2.04, 1 Mn 2.22
O  0.5199  0.5199  0.6565  1 Li 2.05, 2 Fe 2.05, 1 Nb 2.09
O  0.1653  0.1653  0.9030  1 Nb 1.96, 1 Li 2.03, 2 Fe 2.12
O  0.8457  0.3430  0.4122  1 Nb 1.95, 1 Li 2.00, 1 Fe 2.09
O  0.3350  0.3350  0.3869  2 Mn 1.94, 1 Fe 2.04, 1 Li 2.07
Li  0.6628  0.6628  0.0963  4 O 1.99-2.04
O  0.0316  0.4729  0.1502  1 Li 1.99, 1 Fe 2.01, 1 Nb 2.04, 1 Mn 2.22
O  0.9651  0.5150  0.6546  1 Li 1.99, 1 Fe 2.01, 1 Mn 2.12, 1 Nb 2.12
O  0.1734  0.6641  0.9115  1 Li 1.99, 1 Nb 1.99, 1 Fe 2.13, 1 Mn 2.17
O  0.6641  0.1734  0.9115  1 Li 1.99, 1 Nb 1.99, 1 Fe 2.13, 1 Mn 2.17
Fe  0.8309  0.3407  0.7822  6 O 1.99-2.13
O  0.8409  0.8409  0.4065  1 Li 2.01, 1 Nb 2.04, 2 Mn 2.06
O  0.0014  0.0014  0.1972  1 Li 1.84, 2 Mn 1.95, 1 Fe 2.00
O  0.5150  0.9651  0.6546  1 Li 1.99, 1 Fe 2.01, 1 Mn 2.12, 1 Nb 2.12
Mn  0.6616  0.1702  0.2857  4 O 1.94-2.06
Li  0.3353  0.3353  0.5976  4 O 1.99-2.07
Fe  0.1711  0.1711  0.2826  6 O 2.00-2.09


A geometry-optimized Li9Mn2Co5O16 structure. Source: Materials Project, functional GGA+U.

Output
DFT formation energy = -1.7851 eV/atom
Relative energy among the computed polymorphs = 79 meV/atom
Space group = Pm (6)
Electronic total energy = -184.8 eV/cell

Lattice parameters (Å, degrees): 2.9102 10.2830 10.3399 69.83 90.00 90.00
Last column: nearest neighbours and their distance in Å.
Fractional positions:
O  0.0000  0.6318  0.6139  3 Co 2.01-2.08, 3 Li 2.09-2.13
O  0.5000  0.8955  0.1132  2 Mn 1.93, 1 Li 2.09
Li  0.0000  0.7403  0.2492  4 O 2.01-2.18
Li  0.0000  0.2597  0.2463  3 O 2.00-2.10
Co  0.5000  0.2503  0.5023  6 O 2.00-2.09
Li  0.0000  0.2571  0.7429  6 O 2.08-2.25
O  0.5000  0.6369  0.8731  1 Co 1.79, 2 Li 1.99
Li  0.0000  0.7426  0.7493  5 O 1.99-2.23
O  0.5000  0.1124  0.3933  3 Co 1.95-2.09, 1 Li 2.13
Co  0.5000  0.7496  0.4967  6 O 1.99-2.11
Li  0.5000  0.5049  0.2416  6 O 2.08-2.33
Co  0.0000  0.4996  0.4999  6 O 1.99-2.08
O  0.5000  0.6175  0.3866  3 Co 1.99-2.05, 3 Li 2.12-2.19
O  0.0000  0.8653  0.3821  3 Co 1.99-2.15, 3 Li 2.07-2.18
O  0.0000  0.1351  0.6187  3 Co 2.00-2.14, 3 Li 2.08-2.14
Mn  0.0000  0.9983  0.0016  6 O 1.88-2.01
O  0.5000  0.1176  0.8945  3 Mn 1.98-2.09
Mn  0.5000  0.2564  0.0022  5 O 1.80-2.00
O  0.0000  0.3676  0.3856  3 Co 2.01-2.08, 3 Li 2.10-2.21
O  0.0000  0.1305  0.1070  3 Mn 2.00-2.01
Co  0.5000  0.7289  0.9918  3 O 1.79-1.98
Li  0.5000  0.5113  0.7548  6 O 2.06-2.27
Li  0.5000  0.9935  0.2603  6 O 2.07-2.25
Co  0.0000  0.0003  0.5011  6 O 1.95-2.15
O  0.0000  0.3569  0.8883  2 Mn 1.93, 1 Li 2.09
O  0.5000  0.3822  0.6157  3 Co 2.00-2.08, 2 Li 2.08
O  0.5000  0.8872  0.6074  3 Co 1.95-2.11, 1 Li 2.14
O  0.5000  0.3564  0.1153  1 Mn 1.80, 2 Li 2.00
Li  0.0000  0.4981  0.0043  6 O 2.10-2.18
O  0.0000  0.6337  0.1191  2 Co 1.98, 4 Li 2.01-2.12
Li  0.5000  0.9982  0.7485  6 O 2.13-2.25
O  0.0000  0.8845  0.8933  1 Mn 1.88


Number 1: M_tot 6.78 Bohr magnetons per cell. Number 2: M_tot 14.00 Bohr magnetons per cell. Number 3: M_tot 12.00 Bohr magnetons per cell. Number 4: M_tot 10.00 Bohr magnetons per cell. Number 5: M_tot 27.00 Bohr magnetons per cell. Number 6: M_tot 9.09 Bohr magnetons per cell.